Record 1
Crystalline Na14Hf3Zn5Si6S6O48 at its relaxed geometry. Source: the Materials Project database, functional GGA-PBE.

Cell lengths 18.429, 9.156, 22.228 Å; angles 89.94, 90.54, 119.82 degrees
Element x y z (fractional)
Si 0.856 0.011 0.754
Si 0.164 0.370 0.420
Si 0.154 0.304 0.750
Si 0.664 0.962 0.919
Si 0.856 0.708 0.253
Si 0.477 0.624 0.085
Si 0.357 0.001 0.753
Si 0.164 0.959 0.920
Si 0.179 0.017 0.581
Si 0.677 0.018 0.582
Si 0.180 0.343 0.085
Si 0.157 0.006 0.252
Si 0.653 0.305 0.755
Si 0.357 0.713 0.257
Si 0.679 0.338 0.082
Si 0.662 0.365 0.418
Si 0.837 0.634 0.584
Si 0.652 0.000 0.252
O 0.015 0.819 0.700
O 0.712 0.136 0.522
O 0.649 0.448 0.480
O 0.898 0.976 0.414
O 0.616 0.193 0.815
O 0.259 0.682 0.256
O 0.561 0.470 0.584
O 0.154 0.850 0.981
O 0.095 0.205 0.691
O 0.407 0.806 0.318
O 0.919 0.827 0.591
O 0.403 0.831 0.198
O 0.260 0.869 0.367
O 0.249 0.152 0.922
O 0.932 0.550 0.028
O 0.066 0.663 0.084
O 0.429 0.538 0.740
O 0.481 0.164 0.588
O 0.272 0.675 0.971
O 0.931 0.539 0.745
O 0.898 0.817 0.916
O 0.172 0.858 0.861
O 0.072 0.483 0.867
O 0.759 0.864 0.366
O 0.315 0.495 0.918
O 0.170 0.492 0.363
O 0.824 0.133 0.415
O 0.861 0.569 0.522
O 0.429 0.307 0.526
O 0.252 0.364 0.417
O 0.414 0.041 0.087
O 0.901 0.973 0.697
O 0.657 0.488 0.756
O 0.248 0.166 0.241
O 0.579 0.980 0.915
O 0.663 0.828 0.575
O 0.776 0.874 0.474
O 0.259 0.830 0.755
O 0.085 0.163 0.085
O 0.669 0.487 0.361
O 0.150 0.818 0.255
O 0.079 0.182 0.415
O 0.911 0.804 0.312
O 0.656 0.854 0.979
O 0.436 0.502 0.418
O 0.754 0.144 0.915
O 0.395 0.967 0.690
O 0.166 0.825 0.575
O 0.486 0.815 0.085
O 0.322 0.135 0.417
O 0.164 0.502 0.074
O 0.274 0.874 0.476
O 0.773 0.677 0.974
O 0.766 0.880 0.082
O 0.347 0.526 0.254
O 0.560 0.445 0.975
O 0.013 0.209 0.199
O 0.087 0.004 0.590
O 0.263 0.645 0.862
O 0.934 0.344 0.634
O 0.423 0.528 0.023
O 0.581 0.696 0.752
O 0.065 0.453 0.976
O 0.747 0.334 0.747
O 0.430 0.343 0.635
O 0.400 0.798 0.915
O 0.581 0.000 0.590
O 0.937 0.533 0.138
O 0.083 0.467 0.253
O 0.432 0.365 0.917
O 0.989 0.173 0.588
O 0.581 0.468 0.253
O 0.155 0.457 0.482
O 0.592 0.201 0.696
O 0.230 0.308 0.029
O 0.901 0.821 0.191
O 0.617 0.038 0.313
O 0.070 0.666 0.362
O 0.089 0.978 0.194
O 0.507 0.809 0.418
O 0.741 0.382 0.140
O 0.991 0.205 0.307
O 0.261 0.872 0.079
O 0.752 0.650 0.582
O 0.340 0.145 0.030
O 0.848 0.521 0.250
O 0.491 0.774 0.808
O 0.415 0.808 0.587
O 0.994 0.783 0.809
O 0.250 0.339 0.744
O 0.760 0.833 0.756
O 0.735 0.096 0.641
O 0.828 0.517 0.642
O 0.646 0.813 0.254
O 0.759 0.678 0.255
O 0.334 0.536 0.638
O 0.854 0.144 0.025
O 0.117 0.188 0.810
O 0.567 0.671 0.474
O 0.823 0.512 0.917
O 0.067 0.478 0.585
O 0.939 0.504 0.412
O 0.573 0.658 0.085
O 0.226 0.361 0.148
O 0.564 0.483 0.867
O 0.083 0.699 0.754
O 0.983 0.804 0.086
O 0.761 0.653 0.865
O 0.008 0.205 0.916
O 0.713 0.283 0.023
O 0.670 0.856 0.860
O 0.241 0.094 0.640
O 0.583 0.174 0.091
O 0.430 0.326 0.248
O 0.577 0.178 0.413
O 0.341 0.160 0.750
O 0.066 0.678 0.472
O 0.408 0.989 0.810
O 0.398 0.981 0.417
O 0.006 0.811 0.414
O 0.938 0.372 0.916
O 0.513 0.821 0.699
O 0.905 0.012 0.816
O 0.589 0.979 0.194
O 0.917 0.030 0.088
O 0.750 0.359 0.415
O 0.937 0.313 0.525
O 0.263 0.652 0.582
O 0.673 0.510 0.074
O 0.118 0.043 0.312
O 0.080 0.978 0.915
O 0.510 0.211 0.199
O 0.836 0.148 0.134
O 0.496 0.206 0.309
O 0.216 0.137 0.522
O 0.566 0.655 0.365
O 0.505 0.202 0.913
O 0.745 0.158 0.243
O 0.350 0.558 0.529
O 0.840 0.167 0.747
O 0.323 0.123 0.139
O 0.933 0.333 0.241
O 0.159 0.489 0.756
O 0.434 0.506 0.143
Zn 0.819 0.309 0.680
Zn 0.676 0.663 0.518
Zn 0.807 0.288 0.987
Zn 0.165 0.663 0.513
Zn 0.510 0.023 0.844
Zn 0.803 0.342 0.494
Zn 0.816 0.334 0.186
Zn 0.173 0.674 0.014
Zn 0.512 0.005 0.342
Zn 0.320 0.290 0.686
Zn 0.012 0.005 0.342
Zn 0.009 0.022 0.839
Zn 0.325 0.356 0.182
Zn 0.310 0.322 0.485
Zn 0.653 0.663 0.020
Na 0.664 0.347 0.576
Na 0.325 0.319 0.325
Na 0.514 0.013 0.493
Na 0.320 0.968 0.591
Na 0.493 0.631 0.238
Na 0.196 0.683 0.160
Na 0.189 0.023 0.748
Na 0.852 0.658 0.415
Na 0.195 0.363 0.247
Na 0.665 0.281 0.915
Na 0.985 0.678 0.919
Na 0.996 0.644 0.250
Na 0.820 0.956 0.589
Na 0.819 0.673 0.090
Na 0.157 0.977 0.076
Na 0.668 0.676 0.161
Na 0.689 0.358 0.248
Na 0.671 0.666 0.660
Na 0.488 0.299 0.419
Na 0.353 0.660 0.404
Na 0.983 0.291 0.423
Na 0.004 0.995 0.497
Na 0.009 0.688 0.573
Na 0.154 0.329 0.573
Na 0.008 0.008 0.993
Na 0.494 0.685 0.924
Na 0.647 0.961 0.072
Na 0.320 0.633 0.744
Na 0.693 0.027 0.746
Na 0.667 0.051 0.414
Na 0.161 0.662 0.662
Na 0.818 0.626 0.733
Na 0.019 0.348 0.076
Na 0.849 0.036 0.905
Na 0.520 0.691 0.575
Na 0.160 0.277 0.906
Na 0.500 0.996 0.996
Na 0.165 0.052 0.414
Na 0.830 0.318 0.826
Na 0.821 0.319 0.330
Na 0.521 0.356 0.088
Na 0.333 0.301 0.829
Hf 0.176 0.675 0.311
Hf 0.004 0.999 0.152
Hf 0.674 0.671 0.311
Hf 0.671 0.676 0.811
Hf 0.504 0.014 0.653
Hf 0.172 0.677 0.812
Hf 0.326 0.327 0.985
Hf 0.000 0.006 0.650
Hf 0.499 0.984 0.148
S 0.019 0.663 0.415
S 0.334 0.043 0.086
S 0.315 0.966 0.421
S 0.516 0.372 0.918
S 0.840 0.050 0.084
S 0.338 0.633 0.585
S 0.814 0.666 0.920
S 0.816 0.964 0.418
S 0.002 0.300 0.252
S 0.003 0.706 0.753
S 0.980 0.331 0.583
S 0.501 0.703 0.752
S 0.314 0.661 0.918
S 0.519 0.659 0.419
S 0.474 0.326 0.583
S 0.501 0.297 0.253
S 0.020 0.378 0.919
S 0.979 0.631 0.084

Output
total energy after the MP2020 corrections	-6.740	eV per atom
final energy	-519.69	eV/f.u.



Record 2
Crystalline Na8Hf3ZnSi5SO24 at its relaxed geometry. Source: the Materials Project database, functional GGA-PBE.

Cell lengths 9.242, 9.241, 22.443 Å; angles 89.70, 90.40, 119.95 degrees
Element x y z (fractional)
O 0.018 0.184 0.913
O 0.502 0.148 0.923
O 0.175 0.186 0.416
O 0.675 0.539 0.249
O 0.457 0.144 0.250
O 0.336 0.843 0.578
O 0.539 0.691 0.976
O 0.190 0.180 0.808
O 0.153 0.460 0.976
O 0.832 0.015 0.091
O 0.363 0.872 0.859
O 0.978 0.188 0.313
O 0.841 0.540 0.029
O 0.985 0.820 0.092
O 0.646 0.498 0.923
O 0.129 0.491 0.859
O 0.361 0.492 0.359
O 0.853 0.354 0.922
O 0.891 0.358 0.636
O 0.499 0.653 0.578
O 0.977 0.180 0.584
O 0.623 0.104 0.147
O 0.801 0.790 0.306
O 0.205 0.000 0.307
O 0.312 0.469 0.475
O 0.489 0.112 0.643
O 0.798 0.977 0.690
O 0.896 0.522 0.146
O 0.808 0.977 0.416
O 0.306 0.839 0.251
O 0.817 0.015 0.808
O 0.979 0.797 0.809
O 0.134 0.482 0.576
O 0.490 0.366 0.147
O 0.632 0.515 0.643
O 0.835 0.321 0.248
O 0.014 0.828 0.411
O 0.689 0.166 0.747
O 0.508 0.364 0.421
O 0.695 0.539 0.526
O 0.860 0.317 0.529
O 0.521 0.828 0.753
O 0.168 0.981 0.914
O 0.468 0.306 0.030
O 0.128 0.636 0.358
O 0.466 0.155 0.525
O 0.698 0.161 0.030
O 0.853 0.492 0.421
O 0.510 0.875 0.355
O 0.646 0.150 0.421
O 0.303 0.479 0.753
O 0.155 0.658 0.078
O 0.510 0.638 0.859
O 0.349 0.496 0.080
O 0.538 0.706 0.252
O 0.814 0.832 0.914
O 0.794 0.811 0.198
O 0.472 0.311 0.751
O 0.026 0.821 0.691
O 0.187 0.027 0.586
O 0.504 0.845 0.078
O 0.190 0.166 0.091
O 0.834 0.820 0.586
O 0.178 0.204 0.690
O 0.150 0.689 0.475
O 0.174 0.694 0.753
O 0.526 0.847 0.472
O 0.309 0.846 0.976
O 0.177 0.487 0.252
O 0.187 0.978 0.198
O 0.024 0.201 0.195
O 0.837 0.518 0.747
Na 0.979 0.606 0.241
Na 0.656 0.965 0.595
Na 0.668 0.333 0.824
Na 0.649 0.030 0.246
Na 0.334 0.300 0.913
Na 0.665 0.690 0.077
Na 0.311 0.972 0.077
Na 0.982 0.366 0.752
Na 0.386 0.015 0.746
Na 0.699 0.035 0.913
Na 0.717 0.684 0.418
Na 0.964 0.285 0.409
Na 0.001 0.992 0.493
Na 0.326 0.658 0.160
Na 0.028 0.344 0.080
Na 0.345 0.677 0.672
Na 0.369 0.361 0.238
Na 0.032 0.707 0.583
Na 0.326 0.337 0.592
Na 0.966 0.665 0.913
Na 0.632 0.614 0.745
Na 0.315 0.028 0.418
Na 0.683 0.331 0.331
Na 0.001 0.999 0.994
Si 0.666 0.630 0.585
Si 0.038 0.371 0.917
Si 0.333 0.372 0.418
Si 0.705 0.000 0.749
Si 0.967 0.633 0.086
Si 0.371 0.037 0.585
Si 0.335 0.962 0.917
Si 0.627 0.964 0.415
Si 0.662 0.034 0.087
Si 0.290 0.295 0.750
Si 0.000 0.298 0.253
Si 0.000 0.701 0.750
Si 0.035 0.665 0.416
Si 0.379 0.337 0.087
Si 0.628 0.666 0.917
Zn 0.643 0.327 0.688
Zn 0.682 0.331 0.166
Zn 0.997 0.013 0.359
Hf 0.327 0.660 0.317
Hf 0.334 0.668 0.813
Hf 0.997 0.997 0.852
Hf 0.334 0.665 0.017
Hf 0.658 0.336 0.479
Hf 0.669 0.335 0.982
Hf 0.004 0.013 0.145
Hf 0.002 0.994 0.649
Hf 0.339 0.674 0.517
S 0.962 0.334 0.583
S 0.704 0.710 0.253
S 0.290 0.994 0.253

Output
total energy after the MP2020 corrections	-7.477	eV per atom
final energy	-297.57	eV/f.u.